Entry 1:
Mn3NbFe2P6O24: relaxed, GGA+U.

a = 8.6421 Å, b = 8.6421 Å, c = 8.6421 Å
α = 60.78°, β = 60.78°, γ = 60.78°
With the nearest neighbours (Å) after each atom.
Element x y z (fractional)
Mn  0.1456  0.1456  0.1456  6 O 1.97-2.10
Mn  0.3566  0.3566  0.3566  6 O 2.00-2.15
Mn  0.6434  0.6434  0.6434  6 O 1.99-2.08
Nb  0.8575  0.8575  0.8575  6 O 1.95-2.05
Fe  0.0054  0.0054  0.0054  6 O 2.15-2.34
Fe  0.5004  0.5004  0.5004  6 O 2.20-2.21
P  0.4506  0.7483  0.0452  4 O 1.52-1.58
P  0.5396  0.2562  0.9557  4 O 1.51-1.61
P  0.9557  0.5396  0.2562  4 O 1.51-1.61
P  0.2562  0.9557  0.5396  4 O 1.51-1.61
P  0.7483  0.0452  0.4506  4 O 1.52-1.58
P  0.0452  0.4506  0.7483  4 O 1.52-1.58
O  0.3126  0.1100  0.5121  1 P 1.51
O  0.5121  0.3126  0.1100  1 P 1.51
O  0.9118  0.0591  0.2603  1 P 1.56
O  0.1100  0.5121  0.3126  1 P 1.51
O  0.8173  0.9913  0.6153  1 P 1.58
O  0.5938  0.2383  0.4477  1 P 1.54
O  0.0591  0.2603  0.9118  1 P 1.56
O  0.2383  0.4477  0.5938  1 P 1.54
O  0.3875  0.1908  0.9889  1 P 1.53
O  0.4477  0.5938  0.2383  1 P 1.54
O  0.7385  0.0906  0.9356  1 P 1.61
O  0.9889  0.3875  0.1908  1 P 1.53
O  0.9913  0.6153  0.8173  1 P 1.58
O  0.2603  0.9118  0.0591  1 P 1.56
O  0.5598  0.4108  0.7584  1 P 1.56
O  0.6153  0.8173  0.9913  1 P 1.58
O  0.7584  0.5598  0.4108  1 P 1.56
O  0.9356  0.7385  0.0906  1 P 1.61
O  0.4108  0.7584  0.5598  1 P 1.56
O  0.1908  0.9889  0.3875  1 P 1.53
O  0.8882  0.4885  0.6882  1 P 1.52
O  0.0906  0.9356  0.7385  1 P 1.61
O  0.4885  0.6882  0.8882  1 P 1.52
O  0.6882  0.8882  0.4885  1 P 1.52

Output
Its symmetry is R3, No. 146. The calculation puts the electronic total energy at -268.488 eV/cell.


Entry 2:
MgMn2O4: relaxed, GGA+U.

a = 6.2209 Å, b = 6.2209 Å, c = 14.9083 Å
α = 84.91°, β = 84.91°, γ = 56.26°
With the nearest neighbours (Å) after each atom.
Element x y z (fractional)
Mg  0.1684  0.1684  0.9538  4 O 1.98-2.05
Mg  0.5006  0.5006  0.6247  4 O 2.00
Mg  0.5007  0.5007  0.9982  6 O 2.05-2.22
Mg  0.8305  0.8305  0.2903  4 O 2.01
Mg  0.1684  0.1684  0.7105  4 O 2.00-2.02
Mg  0.4999  0.4999  0.3757  4 O 2.00
Mn  0.1722  0.6712  0.8344  5 O 1.97-2.19
Mn  0.6683  0.6683  0.8333  4 O 1.94-1.98
Mn  0.5002  0.0004  0.5002  4 O 1.97
Mn  0.6712  0.1722  0.8344  5 O 1.97-2.19
Mn  0.8353  0.8353  0.6674  4 O 1.96-1.98
Mn  0.0001  0.0001  0.5004  4 O 1.96-1.97
Mn  0.8293  0.3277  0.1654  5 O 1.97-2.16
Mn  0.0004  0.5002  0.5002  4 O 1.97
Mn  0.3277  0.8293  0.1654  5 O 1.97-2.16
Mn  0.1642  0.1642  0.3334  4 O 1.97
Mn  0.3313  0.3313  0.1678  4 O 1.94-1.98
Mn  0.8332  0.8332  0.0449  4 O 2.01-2.07
O  0.3500  0.3500  0.9117  2 Mn 1.98, 2 Mg 2.03-2.20
O  0.4969  0.4969  0.7587  2 Mn 1.98, 1 Mg 2.00
O  0.3532  0.8146  0.9091  1 Mn 1.94, 2 Mg 1.98-2.05
O  0.8146  0.3532  0.9091  1 Mn 1.94, 2 Mg 1.98-2.05
O  0.5311  0.9812  0.7510  2 Mn 1.96-1.98, 1 Mg 2.00
O  0.6775  0.6775  0.5758  2 Mn 1.97, 1 Mg 2.00
O  0.9812  0.5311  0.7510  2 Mn 1.96-1.98, 1 Mg 2.00
O  0.8389  0.8389  0.9065  3 Mn 1.99-2.06
O  0.6905  0.1403  0.5819  2 Mn 1.96-1.98, 1 Mg 2.00
O  0.8258  0.8258  0.4253  2 Mn 1.97, 1 Mg 2.01
O  0.9900  0.9900  0.7568  2 Mn 1.97, 1 Mg 2.01
O  0.1403  0.6905  0.5819  2 Mn 1.96-1.98, 1 Mg 2.00
O  0.8600  0.3095  0.4181  2 Mn 1.97, 1 Mg 2.00
O  0.0091  0.0091  0.2431  2 Mn 1.97, 1 Mg 2.01
O  0.3095  0.8600  0.4181  2 Mn 1.97, 1 Mg 2.00
O  0.1745  0.1745  0.5747  2 Mn 1.97, 1 Mg 2.02
O  0.1587  0.1587  0.0918  2 Mn 1.98, 1 Mg 2.05
O  0.0160  0.4680  0.2485  2 Mn 1.97-1.98, 1 Mg 2.01
O  0.3226  0.3226  0.4238  2 Mn 1.97, 1 Mg 2.00
O  0.4680  0.0160  0.2485  2 Mn 1.97-1.98, 1 Mg 2.01
O  0.1909  0.6472  0.0918  3 Mn 1.94-2.16, 1 Mg 2.07
O  0.5050  0.5050  0.2411  2 Mn 1.98, 1 Mg 2.00
O  0.6472  0.1909  0.0918  3 Mn 1.94-2.16, 1 Mg 2.07
O  0.6486  0.6486  0.0891  3 Mn 1.97-2.07

Output
Its symmetry is Cm, No. 8. The calculation puts the electronic total energy at -299.068 eV/cell.


Entry 3:
VO2F: relaxed, GGA+U.

a = 3.6119 Å, b = 4.8734 Å, c = 13.6278 Å
α = 90.00°, β = 90.00°, γ = 90.00°
With the nearest neighbours (Å) after each atom.
Element x y z (fractional)
V  0.2500  0.0749  0.0891  1 O 1.60, 1 F 1.77
V  0.7500  0.5749  0.4109  1 O 1.60, 1 F 1.77
V  0.2500  0.4251  0.5891  1 O 1.60, 1 F 1.77
V  0.7500  0.9251  0.9109  1 O 1.60, 1 F 1.77
O  0.7500  0.9772  0.0576  3 V 1.92-2.02
O  0.2500  0.4011  0.1041  1 V 1.60
O  0.7500  0.9011  0.3959  1 V 1.60
O  0.2500  0.4772  0.4424  3 V 1.92-2.02
O  0.7500  0.5228  0.5576  3 V 1.92-2.02
O  0.2500  0.0989  0.6041  1 V 1.60
O  0.7500  0.5989  0.8959  1 V 1.60
O  0.2500  0.0228  0.9424  3 V 1.92-2.02
F  0.2500  0.9279  0.2075  1 V 1.77
F  0.7500  0.4279  0.2925  1 V 1.77
F  0.2500  0.5721  0.7075  1 V 1.77
F  0.7500  0.0721  0.7925  1 V 1.77

Output
Its symmetry is Pnma, No. 62. The calculation puts the electronic total energy at -108.793 eV/cell.


Entry 4:
Na3VO3: relaxed, GGA+U.

a = 5.9298 Å, b = 5.9232 Å, c = 12.7826 Å
α = 90.00°, β = 90.00°, γ = 115.41°
With the nearest neighbours (Å) after each atom.
Element x y z (fractional)
Na  0.6994  0.1432  0.2218  4 O 2.34-2.56
Na  0.8006  0.3570  0.7218  4 O 2.34-2.56
Na  0.1994  0.6432  0.2782  4 O 2.34-2.56
Na  0.3006  0.8570  0.7782  4 O 2.34-2.56
Na  0.7808  0.2481  0.4839  4 O 2.34-2.40
Na  0.7194  0.2520  0.9840  4 O 2.34-2.40
Na  0.2808  0.7481  0.0161  4 O 2.34-2.40
Na  0.2194  0.7520  0.5160  4 O 2.34-2.40
Na  0.3584  0.2837  0.5933  4 O 2.38-2.55
Na  0.1414  0.2162  0.0936  4 O 2.38-2.55
Na  0.8584  0.7837  0.9067  4 O 2.38-2.55
Na  0.6414  0.7162  0.4064  4 O 2.38-2.55
V  0.2476  0.3282  0.8353  4 O 1.91-1.99
V  0.7475  0.8282  0.6647  4 O 1.91-1.99
V  0.2525  0.1718  0.3351  4 O 1.91-1.99
V  0.7525  0.6718  0.1649  4 O 1.91-1.99
O  0.4530  0.0049  0.3727  1 V 1.91
O  0.9530  0.5049  0.1273  1 V 1.91
O  0.0468  0.4953  0.8724  1 V 1.91
O  0.5468  0.9954  0.6276  1 V 1.91
O  0.3008  0.1196  0.9375  1 V 1.91
O  0.8008  0.6196  0.5625  1 V 1.91
O  0.1992  0.3798  0.4373  1 V 1.91
O  0.6992  0.8798  0.0627  1 V 1.91
O  0.0538  0.0809  0.7260  2 V 1.95-1.99
O  0.4464  0.4192  0.2264  2 V 1.95-1.99
O  0.5538  0.5809  0.7740  2 V 1.95-1.99
O  0.9464  0.9192  0.2736  2 V 1.95-1.99

Output
Its symmetry is P2_1/c, No. 14. The calculation puts the electronic total energy at -150.498 eV/cell.


Formation enthalpy at 0 K for every record listed, in sequence, given in eV/atom: -2.465; -2.316; -2.460; -1.927.
Corrected total energy (MP2020 scheme) for every record listed, in sequence, given in eV per atom: -8.1803; -7.9898; -7.6836; -5.9122.